Ba2TaFeO6 | the Materials Project | PBE+U | relaxed; corrected total energy (MP2020 scheme) = -8.39 eV/atom; calculated total energy = -7.755 eV per atom; E_form = -30.07 eV per formula unit
1.0
0.333 5.781 -0.333
4.807 -3.212 -0.455
2.114 -0.686 -9.797
O Ba Ta Fe
12 4 2 2
Cartesian
3.897 -1.750 -1.626 O
5.722 2.052 -9.182 O
2.134 1.085 -3.894 O
3.357 3.632 -8.959 O
5.120 0.798 -6.690 O
4.061 1.095 -1.789 O
2.303 4.021 -4.063 O
3.193 0.788 -8.795 O
4.499 -0.496 -4.118 O
4.951 -2.138 -6.521 O
2.755 2.379 -6.467 O
1.532 -0.169 -1.402 O
1.674 2.724 -1.546 Ba
2.564 -0.509 -6.278 Ba
4.689 2.392 -4.306 Ba
5.580 -0.841 -9.038 Ba
4.239 2.215 -7.824 Ta
3.015 -0.332 -2.760 Ta
1.223 2.548 -5.065 Fe
0.000 0.000 0.000 Fe